# 1
Density functional theory data (meta-GGA r2SCAN) for an optimized crystal structure of Cs6K7.

```
data_Cs6K7
_chemical_formula_sum 'Cs12 K14'
_space_group_name_H-M_alt 'P 1'
_space_group_IT_number 1
_space_group_name_Hall 'P 1'
_cell_length_a 9.2375
_cell_length_b 9.2375
_cell_length_c 34.3981
_cell_angle_alpha 90.00
_cell_angle_beta 90.00
_cell_angle_gamma 120.00
loop_
_atom_site_label
_atom_site_fract_x
_atom_site_fract_y
_atom_site_fract_z
_atom_site_occupancy
Cs1 0.3333 0.6667 0.9770 1
Cs2 0.6667 0.3333 0.1784 1
Cs3 0.3333 0.6667 0.6784 1
Cs4 0.3333 0.6667 0.8216 1
Cs5 0.6667 0.3333 0.0230 1
Cs6 0.6667 0.3333 0.3216 1
Cs7 0.3333 0.6667 0.5230 1
Cs8 0.6667 0.3333 0.4770 1
Cs9 0.0000 0.0000 0.2500 1
Cs10 0.6667 0.3333 0.7500 1
Cs11 0.0000 0.0000 0.7500 1
Cs12 0.3333 0.6667 0.2500 1
K1 0.1672 0.3343 0.3855 1
K2 0.1672 0.8328 0.3855 1
K3 0.6657 0.8328 0.1145 1
K4 0.1672 0.8328 0.1145 1
K5 0.6657 0.8328 0.3855 1
K6 0.8328 0.1672 0.6145 1
K7 0.3343 0.1672 0.8855 1
K8 0.3343 0.1672 0.6145 1
K9 0.1672 0.3343 0.1145 1
K10 0.8328 0.1672 0.8855 1
K11 0.8328 0.6657 0.6145 1
K12 0.0000 0.0000 0.5000 1
K13 0.8328 0.6657 0.8855 1
K14 0.0000 0.0000 0.0000 1
```

Computed properties:
Electronic total energy ... -385.4 eV/cell
Calculated volume ... 97.77 A^3/atom
SG ... P6_3/mmc (194)
Formation enthalpy at 0 K ... 0.007 eV per atom

***

# 2
Density functional theory data (meta-GGA r2SCAN) for an optimized crystal structure of NaNb3O8.

```
data_NaNb3O8
_chemical_formula_sum 'Na2 Nb6 O16'
_space_group_name_H-M_alt 'P 1'
_space_group_IT_number 1
_space_group_name_Hall 'P 1'
_cell_length_a 3.8106
_cell_length_b 8.8545
_cell_length_c 10.2759
_cell_angle_alpha 90.00
_cell_angle_beta 90.00
_cell_angle_gamma 90.00
loop_
_atom_site_label
_atom_site_fract_x
_atom_site_fract_y
_atom_site_fract_z
_atom_site_occupancy
Na1 0.5000 0.0000 0.9295 1
Na2 0.0000 0.5000 0.0705 1
Nb1 0.0000 0.0000 0.4806 1
Nb2 0.5000 0.5000 0.5194 1
Nb3 0.5000 0.8061 0.2477 1
Nb4 0.0000 0.3061 0.7523 1
Nb5 0.0000 0.6939 0.7523 1
Nb6 0.5000 0.1939 0.2477 1
O1 0.5000 0.6698 0.1210 1
O2 0.0000 0.1583 0.5950 1
O3 0.5000 0.3397 0.6976 1
O4 0.0000 0.8417 0.5950 1
O5 0.0000 0.5000 0.5787 1
O6 0.0000 0.5000 0.8477 1
O7 0.5000 0.6583 0.4050 1
O8 0.5000 0.3302 0.1210 1
O9 0.5000 0.3417 0.4050 1
O10 0.5000 0.0000 0.1523 1
O11 0.5000 0.0000 0.4213 1
O12 0.0000 0.1698 0.8790 1
O13 0.5000 0.6603 0.6976 1
O14 0.0000 0.8397 0.3024 1
O15 0.0000 0.8302 0.8790 1
O16 0.0000 0.1603 0.3024 1
```

Computed properties:
Electronic total energy ... -315.7 eV/cell
Calculated volume ... 14.45 A^3/atom
SG ... Pmmn (59)
Formation enthalpy at 0 K ... -2.691 eV per atom

***

# 3
Density functional theory data (meta-GGA r2SCAN) for an optimized crystal structure of Er2Ni12As7.

```
data_Er2Ni12As7
_chemical_formula_sum 'Er2 Ni12 As7'
_space_group_name_H-M_alt 'P 1'
_space_group_IT_number 1
_space_group_name_Hall 'P 1'
_cell_length_a 9.2743
_cell_length_b 9.2742
_cell_length_c 3.7855
_cell_angle_alpha 90.00
_cell_angle_beta 90.00
_cell_angle_gamma 119.99
loop_
_atom_site_label
_atom_site_fract_x
_atom_site_fract_y
_atom_site_fract_z
_atom_site_occupancy
Er1 0.6667 0.3333 0.5000 1
Er2 0.3333 0.6667 0.0000 1
Ni1 0.4381 0.0584 0.0000 1
Ni2 0.6203 0.5619 0.0000 1
Ni3 0.9416 0.3797 0.0000 1
Ni4 0.1511 0.2797 0.0000 1
Ni5 0.1286 0.8489 0.0000 1
Ni6 0.7203 0.8714 0.0000 1
Ni7 0.3762 0.4261 0.5000 1
Ni8 0.0499 0.6238 0.5000 1
Ni9 0.5739 0.9501 0.5000 1
Ni10 0.2105 0.0949 0.5000 1
Ni11 0.8844 0.7895 0.5000 1
Ni12 0.9051 0.1156 0.5000 1
As1 0.0000 0.0000 0.0000 1
As2 0.4049 0.2883 0.0000 1
As3 0.8834 0.5951 0.0000 1
As4 0.7117 0.1166 0.0000 1
As5 0.1097 0.4080 0.5000 1
As6 0.2983 0.8903 0.5000 1
As7 0.5920 0.7017 0.5000 1
```

Computed properties:
Electronic total energy ... -326.1 eV/cell
Calculated volume ... 13.43 A^3/atom
SG ... P-6 (174)
Formation enthalpy at 0 K ... -0.548 eV per atom

***

# 4
Density functional theory data (meta-GGA r2SCAN) for an optimized crystal structure of TePd.

```
data_TePd
_chemical_formula_sum 'Te2 Pd2'
_space_group_name_H-M_alt 'P 1'
_space_group_IT_number 1
_space_group_name_Hall 'P 1'
_cell_length_a 4.1820
_cell_length_b 4.1820
_cell_length_c 5.7380
_cell_angle_alpha 90.00
_cell_angle_beta 90.00
_cell_angle_gamma 120.00
loop_
_atom_site_label
_atom_site_fract_x
_atom_site_fract_y
_atom_site_fract_z
_atom_site_occupancy
Te1 0.3333 0.6667 0.2500 1
Te2 0.6667 0.3333 0.7500 1
Pd1 0.0000 0.0000 0.0000 1
Pd2 0.0000 0.0000 0.5000 1
```

Computed properties:
Electronic total energy ... -98.2 eV/cell
Calculated volume ... 21.73 A^3/atom
SG ... P6_3/mmc (194)
Formation enthalpy at 0 K ... -0.354 eV per atom